Tb2CuGe6 after structural relaxation. Source: the Materials Project database, functional PBE-GGA.

As for the magnetization: 0.00 μB per cell.

a = 4.0761 Å, b = 10.8839 Å, c = 10.8839 Å
α = 21.55°, β = 90.00°, γ = 90.00°
Closest atoms and distances in Å follow each position.
Atoms (fractional coordinates):
1 Tb 0.0000 0.0000 0.0000  10 Ge 2.99-3.14
2 Tb 0.0000 0.3333 0.3333  4 Cu 3.10, 10 Ge 3.11-3.35
3 Cu 0.5000 0.7794 0.7794  5 Ge 2.32-2.41
4 Ge 0.0000 0.6033 0.6033  1 Ge 2.47
5 Ge 0.0000 0.7189 0.7189  2 Cu 2.41, 1 Ge 2.47
6 Ge 0.5000 0.1026 0.1026  1 Ge 2.49
7 Ge 0.5000 0.2188 0.2188  2 Cu 2.41, 1 Ge 2.49
8 Ge 0.5000 0.4575 0.4575  2 Ge 2.52
9 Ge 0.5000 0.8880 0.8880  1 Cu 2.32, 2 Ge 2.52


Tb3Cu4Ge4 after structural relaxation. Source: the Materials Project database, functional PBE-GGA.

a = 8.0281 Å, b = 8.0281 Å, c = 8.0281 Å
α = 149.56°, β = 130.88°, γ = 58.89°
Closest atoms and distances in Å follow each position.
Atoms (fractional coordinates):
1 Tb 0.0000 0.0000 0.0000  6 Ge 2.95-3.03
2 Tb 0.3695 0.8695 0.5000  6 Ge 3.00-3.07, 6 Cu 3.01-3.08
3 Tb 0.6305 0.1305 0.5000  6 Ge 3.00-3.07, 6 Cu 3.01-3.08
4 Cu 0.0206 0.3315 0.6890  4 Ge 2.49-2.62, 1 Cu 2.52
5 Cu 0.3575 0.6685 0.6890  4 Ge 2.49-2.62, 1 Cu 2.52
6 Cu 0.6425 0.3315 0.3110  4 Ge 2.49-2.62, 1 Cu 2.52
7 Cu 0.9794 0.6685 0.3110  4 Ge 2.49-2.62, 1 Cu 2.52
8 Ge 0.2168 0.2168 0.0000  6 Cu 2.55-2.62
9 Ge 0.3089 0.5000 0.8089  2 Cu 2.49, 1 Ge 2.55
10 Ge 0.6911 0.5000 0.1911  2 Cu 2.49, 1 Ge 2.55
11 Ge 0.7832 0.7832 0.0000  6 Cu 2.55-2.62


Cu2GeTe3 after structural relaxation. Source: the Materials Project database, functional PBE-GGA.

The value obtained for the MP2020-corrected energy is -24.07 eV/f.u. For the distance to the lowest polymorph of the same formula, the calculation gives 6 meV/atom.

a = 7.3525 Å, b = 7.3525 Å, c = 7.3824 Å
α = 99.55°, β = 99.55°, γ = 119.95°
Closest atoms and distances in Å follow each position.
Atoms (fractional coordinates):
1 Cu 0.0844 0.9156 0.5000  4 Te 2.56-2.58
2 Cu 0.2591 0.7595 0.0031  4 Te 2.56-2.57
3 Cu 0.7595 0.2591 0.5031  4 Te 2.56-2.57
4 Cu 0.9156 0.0844 0.0000  4 Te 2.56-2.58
5 Ge 0.4301 0.6019 0.5143  4 Te 2.64-2.74
6 Ge 0.6019 0.4301 0.0143  4 Te 2.64-2.74
7 Te 0.1245 0.6313 0.6341  3 Cu 2.56-2.58, 1 Ge 2.64
8 Te 0.2798 0.4602 0.1211  2 Cu 2.56-2.57, 2 Ge 2.71-2.74
9 Te 0.4602 0.2798 0.6211  2 Cu 2.56-2.57, 2 Ge 2.71-2.74
10 Te 0.6313 0.1245 0.1341  3 Cu 2.56-2.58, 1 Ge 2.64
11 Te 0.8135 0.9795 0.6317  3 Cu 2.56-2.57, 1 Ge 2.64
12 Te 0.9795 0.8135 0.1317  3 Cu 2.56-2.57, 1 Ge 2.64


Cu2GeTe3 after structural relaxation. Source: the Materials Project database, functional PBE-GGA.

As for the magnetization: 0.00 μB per cell. The value obtained for the MP2020-corrected energy is -24.04 eV/f.u. For the distance to the lowest polymorph of the same formula, the calculation gives 10 meV/atom.

a = 7.3951 Å, b = 8.6370 Å, c = 11.3294 Å
α = 112.38°, β = 90.21°, γ = 90.11°
Closest atoms and distances in Å follow each position.
Atoms (fractional coordinates):
1 Cu 0.0000 0.0000 0.0000  4 Te 2.57-2.59
2 Cu 0.0024 0.5017 0.0030  4 Te 2.57-2.59
3 Cu 0.1655 0.9197 0.3427  4 Te 2.58-2.61
4 Cu 0.3300 0.3365 0.6716  4 Te 2.57-2.59
5 Cu 0.3356 0.8372 0.6717  4 Te 2.57-2.58
6 Cu 0.5048 0.2500 0.0007  4 Te 2.59-2.61
7 Cu 0.6776 0.6721 0.3423  4 Te 2.57-2.58
8 Cu 0.8389 0.5909 0.6715  4 Te 2.59-2.61
9 Ge 0.1628 0.4297 0.3458  4 Te 2.67-2.77
10 Ge 0.5037 0.7510 0.9970  4 Te 2.69-2.77
11 Ge 0.6690 0.1704 0.3396  4 Te 2.72-2.74
12 Ge 0.8425 0.0787 0.6731  4 Te 2.67-2.78
13 Te 0.0127 0.1136 0.2453  2 Cu 2.57-2.59, 2 Ge 2.73-2.76
14 Te 0.1734 0.5522 0.6007  3 Cu 2.57-2.59, 1 Ge 2.67
15 Te 0.1828 0.0443 0.5891  3 Cu 2.57-2.58, 1 Ge 2.67
16 Te 0.3282 0.9665 0.9179  3 Cu 2.58-2.61, 1 Ge 2.69
17 Te 0.3307 0.4532 0.9188  3 Cu 2.59-2.61, 1 Ge 2.70
18 Te 0.4956 0.8664 0.2607  2 Cu 2.58-2.59, 2 Ge 2.74-2.77
19 Te 0.5093 0.3886 0.2475  2 Cu 2.58-2.59, 2 Ge 2.74-2.77
20 Te 0.6612 0.7882 0.5869  3 Cu 2.57-2.61, 1 Ge 2.68
21 Te 0.6627 0.3096 0.5992  2 Cu 2.58-2.60, 2 Ge 2.72-2.78
22 Te 0.8393 0.2162 0.9285  3 Cu 2.58-2.59, 1 Ge 2.68
23 Te 0.8498 0.7085 0.9193  3 Cu 2.58-2.60, 1 Ge 2.69
24 Te 0.9992 0.6316 0.2487  3 Cu 2.57-2.61, 1 Ge 2.68


Cu2GeTe3 after structural relaxation. Source: the Materials Project database, functional PBE-GGA.

As for the magnetization: 0.00 μB per cell. The value obtained for the MP2020-corrected energy is -24.06 eV/f.u. For the distance to the lowest polymorph of the same formula, the calculation gives 6 meV/atom.

a = 14.1578 Å, b = 7.3999 Å, c = 13.5004 Å
α = 79.45°, β = 30.92°, γ = 69.63°
Closest atoms and distances in Å follow each position.
Atoms (fractional coordinates):
1 Cu 0.0000 0.0000 0.0000  4 Te 2.57
2 Cu 0.0912 0.4131 0.0754  4 Te 2.56-2.59
3 Cu 0.1746 0.8297 0.1588  4 Te 2.56-2.59
4 Cu 0.2500 0.2500 0.2500  4 Te 2.57
5 Cu 0.4131 0.0912 0.4203  4 Te 2.56-2.59
6 Cu 0.4945 0.4945 0.5055  4 Te 2.58-2.59
7 Cu 0.7445 0.7445 0.7555  4 Te 2.58-2.59
8 Cu 0.8297 0.1746 0.8369  4 Te 2.56-2.59
9 Ge 0.3412 0.6588 0.3226  4 Te 2.66-2.75
10 Ge 0.5726 0.9274 0.5912  4 Te 2.66-2.75
11 Ge 0.6588 0.3412 0.6774  4 Te 2.66-2.75
12 Ge 0.9274 0.5726 0.9088  4 Te 2.66-2.75
13 Te 0.0440 0.1936 0.7896  3 Cu 2.56-2.58, 1 Ge 2.66
14 Te 0.1279 0.6300 0.8761  3 Cu 2.57-2.59, 1 Ge 2.66
15 Te 0.1936 0.0440 0.9727  3 Cu 2.56-2.58, 1 Ge 2.66
16 Te 0.2773 0.4604 0.0564  3 Cu 2.56-2.58, 1 Ge 2.66
17 Te 0.3739 0.8840 0.1221  3 Cu 2.57-2.59, 1 Ge 2.66
18 Te 0.4604 0.2773 0.2060  3 Cu 2.56-2.58, 1 Ge 2.66
19 Te 0.5355 0.7167 0.3050  2 Cu 2.59, 2 Ge 2.73-2.75
20 Te 0.6300 0.1279 0.3660  3 Cu 2.57-2.59, 1 Ge 2.66
21 Te 0.7167 0.5355 0.4427  2 Cu 2.59, 2 Ge 2.73-2.75
22 Te 0.8073 0.9450 0.5333  2 Cu 2.59, 2 Ge 2.73-2.75
23 Te 0.8840 0.3739 0.6200  3 Cu 2.57-2.59, 1 Ge 2.66
24 Te 0.9450 0.8073 0.7145  2 Cu 2.59, 2 Ge 2.73-2.75


Cu2GeTe3 after structural relaxation. Source: the Materials Project database, functional PBE-GGA.

The value obtained for the MP2020-corrected energy is -24.10 eV/f.u. For the distance to the lowest polymorph of the same formula, the calculation gives 0 meV/atom.

a = 7.3696 Å, b = 7.3696 Å, c = 7.3696 Å
α = 145.65°, β = 60.03°, γ = 132.36°
Closest atoms and distances in Å follow each position.
Atoms (fractional coordinates):
1 Cu 0.1676 0.0000 0.1676  4 Te 2.57-2.59
2 Cu 0.8324 0.0000 0.8324  4 Te 2.57-2.59
3 Ge 0.5239 0.0239 0.5000  4 Te 2.65-2.74
4 Te 0.2435 0.2435 0.0000  2 Cu 2.58, 2 Ge 2.74
5 Te 0.5964 0.2697 0.3267  3 Cu 2.57-2.59, 1 Ge 2.65
6 Te 0.9430 0.2697 0.6733  3 Cu 2.57-2.59, 1 Ge 2.65


Tm2CuGe6 after structural relaxation. Source: the Materials Project database, functional PBE-GGA.

As for the magnetization: 0.00 μB per cell.

a = 4.0378 Å, b = 10.7955 Å, c = 10.7955 Å
α = 21.47°, β = 90.00°, γ = 90.00°
Closest atoms and distances in Å follow each position.
Atoms (fractional coordinates):
1 Tm 0.0000 0.0000 0.0000  10 Ge 2.95-3.09
2 Tm 0.0000 0.3352 0.3352  4 Cu 3.07, 10 Ge 3.08-3.37
3 Cu 0.5000 0.7815 0.7815  5 Ge 2.30-2.41
4 Ge 0.0000 0.6020 0.6020  1 Ge 2.49
5 Ge 0.0000 0.7191 0.7191  2 Cu 2.41, 1 Ge 2.49
6 Ge 0.5000 0.1012 0.1012  1 Ge 2.51
7 Ge 0.5000 0.2194 0.2194  2 Cu 2.40, 1 Ge 2.51
8 Ge 0.5000 0.4626 0.4626  2 Ge 2.53
9 Ge 0.5000 0.8899 0.8899  1 Cu 2.30, 2 Ge 2.53


How do the records compare in formation enthalpy at 0 K? In the order shown, they have -0.42, -0.63, -0.30, -0.30, -0.30, -0.31, -0.38 eV per atom.